1.
First-principles (PBE) data for a relaxed structure of Cd3Pd, as listed in the Materials Project database.

Properties
V = 19.415 Å³ per atom
DFT formation energy = -0.2186 eV per atom
Space group = I4/mmm, No. 139

a b c (Å): 4.154 4.154 9.002
angles (deg): 90.00 90.00 90.00
Fractional positions:
1 Cd 0.000 0.000 0.000
2 Cd 0.000 0.500 0.250
3 Cd 0.000 0.500 0.750
4 Cd 0.500 0.000 0.250
5 Cd 0.500 0.000 0.750
6 Cd 0.500 0.500 0.500
7 Pd 0.000 0.000 0.500
8 Pd 0.500 0.500 0.000

---

2.
First-principles (PBE) data for a relaxed structure of Cd85Pd27, as listed in the Materials Project database.

Properties
Total magnetic moment = 0.1 μB/f.u.
V = 19.801 Å³ per atom
DFT formation energy = -0.2331 eV per atom
Space group = Fmm2, No. 42

a b c (Å): 30.678 8.832 31.110
angles (deg): 79.02 16.42 84.57
Fractional positions:
1 Cd 0.006 0.785 0.994
2 Cd 0.013 0.568 0.074
3 Cd 0.018 0.201 0.449
4 Cd 0.021 0.306 0.694
5 Cd 0.028 0.804 0.435
6 Cd 0.035 0.952 0.812
7 Cd 0.055 0.436 0.564
8 Cd 0.061 0.076 0.552
9 Cd 0.076 0.061 0.311
10 Cd 0.100 0.290 0.710
11 Cd 0.120 0.521 0.102
12 Cd 0.141 0.514 0.859
13 Cd 0.150 0.150 0.850
14 Cd 0.164 0.625 0.605
15 Cd 0.188 0.799 0.965
16 Cd 0.189 0.284 0.716
17 Cd 0.199 0.801 0.420
18 Cd 0.201 0.018 0.331
19 Cd 0.218 0.663 0.088
20 Cd 0.242 0.952 0.693
21 Cd 0.263 0.353 0.289
22 Cd 0.267 0.565 0.196
23 Cd 0.276 0.314 0.042
24 Cd 0.276 0.930 0.427
25 Cd 0.284 0.189 0.811
26 Cd 0.290 0.100 0.900
27 Cd 0.299 0.628 0.621
28 Cd 0.306 0.021 0.979
29 Cd 0.307 0.887 0.758
30 Cd 0.310 0.849 0.526
31 Cd 0.314 0.276 0.367
32 Cd 0.353 0.263 0.095
33 Cd 0.379 0.548 0.701
34 Cd 0.395 0.395 0.375
35 Cd 0.395 0.395 0.836
36 Cd 0.395 0.922 0.078
37 Cd 0.420 0.580 0.199
38 Cd 0.436 0.055 0.945
39 Cd 0.448 0.689 0.939
40 Cd 0.474 0.684 0.690
41 Cd 0.499 0.926 0.074
42 Cd 0.514 0.141 0.486
43 Cd 0.521 0.120 0.257
44 Cd 0.529 0.765 0.235
45 Cd 0.548 0.379 0.372
46 Cd 0.551 0.669 0.982
47 Cd 0.562 0.893 0.107
48 Cd 0.565 0.267 0.972
49 Cd 0.568 0.013 0.345
50 Cd 0.573 0.634 0.724
51 Cd 0.580 0.420 0.801
52 Cd 0.625 0.164 0.605
53 Cd 0.628 0.299 0.452
54 Cd 0.633 0.958 0.686
55 Cd 0.634 0.573 0.070
56 Cd 0.650 0.699 0.301
57 Cd 0.655 0.926 0.432
58 Cd 0.663 0.218 0.031
59 Cd 0.669 0.551 0.799
60 Cd 0.674 0.820 0.180
61 Cd 0.684 0.474 0.151
62 Cd 0.689 0.448 0.924
63 Cd 0.699 0.650 0.350
64 Cd 0.711 0.905 0.737
65 Cd 0.743 0.898 0.479
66 Cd 0.765 0.529 0.471
67 Cd 0.785 0.006 0.215
68 Cd 0.799 0.188 0.048
69 Cd 0.801 0.199 0.580
70 Cd 0.804 0.028 0.733
71 Cd 0.820 0.674 0.326
72 Cd 0.849 0.310 0.316
73 Cd 0.887 0.307 0.048
74 Cd 0.893 0.562 0.438
75 Cd 0.898 0.743 0.880
76 Cd 0.905 0.711 0.647
77 Cd 0.912 0.969 0.782
78 Cd 0.922 0.395 0.605
79 Cd 0.926 0.499 0.501
80 Cd 0.926 0.655 0.987
81 Cd 0.930 0.276 0.366
82 Cd 0.952 0.035 0.201
83 Cd 0.952 0.242 0.113
84 Cd 0.958 0.633 0.724
85 Cd 0.969 0.912 0.337
86 Pd 0.030 0.529 0.821
87 Pd 0.042 0.812 0.188
88 Pd 0.059 0.174 0.176
89 Pd 0.144 0.407 0.238
90 Pd 0.162 0.777 0.223
91 Pd 0.174 0.059 0.591
92 Pd 0.179 0.381 0.970
93 Pd 0.211 0.672 0.328
94 Pd 0.290 0.595 0.405
95 Pd 0.381 0.179 0.471
96 Pd 0.392 0.547 0.453
97 Pd 0.407 0.144 0.210
98 Pd 0.409 0.824 0.826
99 Pd 0.429 0.429 0.571
100 Pd 0.442 0.795 0.558
101 Pd 0.529 0.030 0.619
102 Pd 0.547 0.392 0.608
103 Pd 0.595 0.290 0.710
104 Pd 0.672 0.211 0.789
105 Pd 0.762 0.790 0.856
106 Pd 0.777 0.162 0.838
107 Pd 0.790 0.762 0.593
108 Pd 0.795 0.442 0.205
109 Pd 0.812 0.042 0.958
110 Pd 0.824 0.409 0.941
111 Pd 0.915 0.992 0.008
112 Pd 0.992 0.915 0.085

---

3.
First-principles (PBE) data for a relaxed structure of PmCdPd2, as listed in the Materials Project database.

Properties
V = 20.640 Å³ per atom
DFT formation energy = -0.6632 eV per atom
Space group = Fm-3m, No. 225

a b c (Å): 6.912 6.912 6.912
angles (deg): 90.00 90.00 90.00
Fractional positions:
1 Pm 0.000 0.000 0.000
2 Pm 0.000 0.500 0.500
3 Pm 0.500 0.000 0.500
4 Pm 0.500 0.500 0.000
5 Cd 0.000 0.000 0.500
6 Cd 0.000 0.500 0.000
7 Cd 0.500 0.000 0.000
8 Cd 0.500 0.500 0.500
9 Pd 0.250 0.250 0.250
10 Pd 0.250 0.250 0.750
11 Pd 0.250 0.750 0.250
12 Pd 0.250 0.750 0.750
13 Pd 0.750 0.250 0.250
14 Pd 0.750 0.250 0.750
15 Pd 0.750 0.750 0.250
16 Pd 0.750 0.750 0.750

---

4.
First-principles (PBE) data for a relaxed structure of PrCdPd, as listed in the Materials Project database.

Properties
V = 23.843 Å³ per atom
DFT formation energy = -0.6622 eV per atom
Space group = P-62m, No. 189

a b c (Å): 7.782 7.782 4.091
angles (deg): 90.00 90.00 120.00
Fractional positions:
1 Pr 0.000 0.591 0.000
2 Pr 0.409 0.409 0.000
3 Pr 0.591 0.000 0.000
4 Cd 0.000 0.250 0.500
5 Cd 0.250 0.000 0.500
6 Cd 0.750 0.750 0.500
7 Pd 0.000 0.000 0.000
8 Pd 0.333 0.667 0.500
9 Pd 0.667 0.333 0.500

---

5.
First-principles (PBE) data for a relaxed structure of Pr4CdPd, as listed in the Materials Project database.

Properties
V = 30.478 Å³ per atom
DFT formation energy = -0.3855 eV per atom
Space group = F-43m, No. 216

a b c (Å): 10.114 10.114 10.114
angles (deg): 60.00 60.00 60.00
Fractional positions:
1 Pr 0.185 0.185 0.815
2 Pr 0.185 0.815 0.185
3 Pr 0.185 0.815 0.815
4 Pr 0.400 0.400 0.400
5 Pr 0.400 0.400 0.801
6 Pr 0.400 0.801 0.400
7 Pr 0.557 0.557 0.943
8 Pr 0.557 0.943 0.557
9 Pr 0.557 0.943 0.943
10 Pr 0.801 0.400 0.400
11 Pr 0.815 0.185 0.185
12 Pr 0.815 0.185 0.815
13 Pr 0.815 0.815 0.185
14 Pr 0.943 0.557 0.557
15 Pr 0.943 0.557 0.943
16 Pr 0.943 0.943 0.557
17 Cd 0.171 0.171 0.171
18 Cd 0.171 0.171 0.488
19 Cd 0.171 0.488 0.171
20 Cd 0.488 0.171 0.171
21 Pd 0.179 0.607 0.607
22 Pd 0.607 0.179 0.607
23 Pd 0.607 0.607 0.179
24 Pd 0.607 0.607 0.607

---

6.
First-principles (PBE) data for a relaxed structure of Pr6Cd4Pd13, as listed in the Materials Project database.

Properties
V = 21.234 Å³ per atom
DFT formation energy = -0.7324 eV per atom
Space group = Im-3m, No. 229

a b c (Å): 8.593 8.593 8.593
angles (deg): 109.47 109.47 109.47
Fractional positions:
1 Pr 0.000 0.302 0.302
2 Pr 0.000 0.698 0.698
3 Pr 0.302 0.000 0.302
4 Pr 0.302 0.302 0.000
5 Pr 0.698 0.000 0.698
6 Pr 0.698 0.698 0.000
7 Cd 0.000 0.000 0.500
8 Cd 0.000 0.500 0.000
9 Cd 0.500 0.000 0.000
10 Cd 0.500 0.500 0.500
11 Pd 0.000 0.000 0.000
12 Pd 0.000 0.341 0.659
13 Pd 0.000 0.659 0.341
14 Pd 0.318 0.659 0.659
15 Pd 0.341 0.000 0.659
16 Pd 0.341 0.341 0.682
17 Pd 0.341 0.659 0.000
18 Pd 0.341 0.682 0.341
19 Pd 0.659 0.000 0.341
20 Pd 0.659 0.318 0.659
21 Pd 0.659 0.341 0.000
22 Pd 0.659 0.659 0.318
23 Pd 0.682 0.341 0.341

---

7.
First-principles (PBE) data for a relaxed structure of ScCdPd2, as listed in the Materials Project database.

Properties
V = 17.819 Å³ per atom
DFT formation energy = -0.7236 eV per atom
Space group = Fm-3m, No. 225

a b c (Å): 6.582 6.582 6.582
angles (deg): 90.00 90.00 90.00
Fractional positions:
1 Sc 0.000 0.000 0.000
2 Sc 0.000 0.500 0.500
3 Sc 0.500 0.000 0.500
4 Sc 0.500 0.500 0.000
5 Cd 0.000 0.000 0.500
6 Cd 0.000 0.500 0.000
7 Cd 0.500 0.000 0.000
8 Cd 0.500 0.500 0.500
9 Pd 0.250 0.250 0.250
10 Pd 0.250 0.250 0.750
11 Pd 0.250 0.750 0.250
12 Pd 0.250 0.750 0.750
13 Pd 0.750 0.250 0.250
14 Pd 0.750 0.250 0.750
15 Pd 0.750 0.750 0.250
16 Pd 0.750 0.750 0.750

---

8.
First-principles (PBE) data for a relaxed structure of CdPd5Se, as listed in the Materials Project database.

Properties
V = 16.928 Å³ per atom
DFT formation energy = -0.3585 eV per atom
Space group = P4/mmm, No. 123

a b c (Å): 4.067 4.067 7.164
angles (deg): 90.00 90.00 90.00
Fractional positions:
1 Cd 0.000 0.000 0.000
2 Pd 0.000 0.500 0.285
3 Pd 0.000 0.500 0.715
4 Pd 0.500 0.000 0.285
5 Pd 0.500 0.000 0.715
6 Pd 0.500 0.500 0.000
7 Se 0.500 0.500 0.500